Entry from Materials Project: Mn6Ni16Ge7 after structural relaxation (PBE).

```
Mn6Ni16Ge7
1.0
0.000 5.608 5.608
5.608 0.000 5.608
5.608 5.608 0.000
Mn Ni Ge
6 16 7
Direct
0.147 0.147 0.853
0.147 0.853 0.147
0.147 0.853 0.853
0.853 0.147 0.147
0.853 0.147 0.853
0.853 0.853 0.147
0.146 0.618 0.618
0.165 0.165 0.165
0.165 0.165 0.506
0.165 0.506 0.165
0.382 0.382 0.382
0.382 0.382 0.854
0.382 0.854 0.382
0.494 0.835 0.835
0.506 0.165 0.165
0.618 0.146 0.618
0.618 0.618 0.146
0.618 0.618 0.618
0.835 0.494 0.835
0.835 0.835 0.494
0.835 0.835 0.835
0.854 0.382 0.382
0.000 0.000 0.500
0.000 0.500 0.000
0.000 0.500 0.500
0.500 0.000 0.000
0.500 0.000 0.500
0.500 0.500 0.000
0.500 0.500 0.500
```

Results
calculated total energy	-183.20	eV for the cell shown
ΔH_f (0 K)	-0.117	eV per atom